No. 1
Density functional theory data (PBE+U) for a relaxed structure of Li5VF8.

abc: 5.1723 5.1723 5.9631
angles: 90.00 90.00 111.53
Fractional positions:
F: 0.7354 0.2646 0.5000
F: 0.7267 0.7267 0.7401
F: 0.7314 0.2686 0.0000
F: 0.7267 0.7267 0.2599
F: 0.2733 0.2733 0.7401
F: 0.2646 0.7354 0.5000
F: 0.2686 0.7314 0.0000
F: 0.2733 0.2733 0.2599
Li: 0.5000 0.5000 0.0000
Li: 0.0000 0.5000 0.2284
Li: 0.5000 0.0000 0.7716
Li: 0.5000 0.0000 0.2284
Li: 0.0000 0.5000 0.7716
V: 0.5000 0.5000 0.5000

- symmetry = Cmmm, No. 65
- distance to the lowest polymorph of the same formula (eV/atom) = 0.000

---

No. 2
Density functional theory data (PBE+U) for a relaxed structure of Na4Mn5O12.

abc: 6.1030 6.1030 13.6344
angles: 79.18 79.18 89.54
Fractional positions:
O: 0.2980 0.2397 0.9741
O: 0.5798 0.1506 0.3222
O: 0.0820 0.1718 0.3216
O: 0.0670 0.5630 0.3482
O: 0.1718 0.0820 0.8216
O: 0.7603 0.7020 0.5259
O: 0.2992 0.7867 0.9725
O: 0.4202 0.8494 0.6778
O: 0.5696 0.5785 0.8184
O: 0.4215 0.4304 0.6816
O: 0.2133 0.7008 0.5275
O: 0.7020 0.7603 0.0259
O: 0.9180 0.8282 0.6784
O: 0.2397 0.2980 0.4741
O: 0.4304 0.4215 0.1816
O: 0.8494 0.4202 0.1778
O: 0.5630 0.0670 0.8482
O: 0.7867 0.2992 0.4725
O: 0.4370 0.9330 0.1518
O: 0.7008 0.2133 0.0275
O: 0.5785 0.5696 0.3184
O: 0.9330 0.4370 0.6518
O: 0.1506 0.5798 0.8222
O: 0.8282 0.9180 0.1784
Na: 0.8049 0.5305 0.9226
Na: 0.5305 0.8049 0.4226
Na: 0.0000 0.0000 0.5000
Na: 0.1951 0.4695 0.0774
Na: 0.1118 0.8882 0.2500
Na: 0.0000 0.0000 0.0000
Na: 0.4695 0.1951 0.5774
Na: 0.8882 0.1118 0.7500
Mn: 0.1703 0.6440 0.6689
Mn: 0.3248 0.3563 0.3319
Mn: 0.6437 0.6752 0.1681
Mn: 0.5000 0.0000 0.0000
Mn: 0.6752 0.6437 0.6681
Mn: 0.0000 0.5000 0.5000
Mn: 0.3563 0.3248 0.8319
Mn: 0.8297 0.3560 0.3311
Mn: 0.3560 0.8297 0.8311
Mn: 0.6440 0.1703 0.1689

- symmetry = C2/c, No. 15

---

No. 3
Density functional theory data (PBE+U) for a relaxed structure of SrCeEuNiO6.

abc: 8.4930 9.0183 8.8540
angles: 90.00 90.00 90.00
Fractional positions:
O: 0.2812 0.0118 0.2155
O: 0.7128 0.2188 0.5110
O: 0.2872 0.7812 0.5110
O: 0.5176 0.2771 0.7756
O: 0.7128 0.7812 0.4890
O: 0.7188 0.9882 0.2155
O: 0.7811 0.7283 0.0117
O: 0.7188 0.0118 0.7845
O: 0.0184 0.2178 0.2733
O: 0.2260 0.4886 0.2815
O: 0.2260 0.5114 0.7185
O: 0.2812 0.9882 0.7845
O: 0.9816 0.2178 0.7267
O: 0.0184 0.7822 0.7267
O: 0.9816 0.7822 0.2733
O: 0.7811 0.2717 0.9883
O: 0.7740 0.5114 0.2815
O: 0.4824 0.2771 0.2244
O: 0.2189 0.7283 0.9883
O: 0.2872 0.2188 0.4890
O: 0.2189 0.2717 0.0117
O: 0.7740 0.4886 0.7185
O: 0.4824 0.7229 0.7756
O: 0.5176 0.7229 0.2244
Eu: 0.0000 0.0000 0.0000
Eu: 0.5000 0.0000 0.5000
Eu: 0.5000 0.5000 0.5000
Eu: 0.5000 0.0000 0.0000
Ce: 0.7474 0.2559 0.2532
Ce: 0.2526 0.2559 0.7468
Ce: 0.7474 0.7441 0.7468
Ce: 0.2526 0.7441 0.2532
Sr: 0.0000 0.5000 0.5000
Sr: 0.5000 0.5000 0.0000
Sr: 0.0000 0.0000 0.5000
Sr: 0.0000 0.5000 0.0000
Ni: 0.7493 0.7491 0.2504
Ni: 0.7493 0.2509 0.7496
Ni: 0.2507 0.2509 0.2504
Ni: 0.2507 0.7491 0.7496

- symmetry = P222, No. 16
- distance to the lowest polymorph of the same formula (eV/atom) = 0.345

---

No. 4
Density functional theory data (PBE+U) for a relaxed structure of Li9Mn2Co5O16.

abc: 5.1668 5.9120 10.0346
angles: 87.52 100.71 109.41
Fractional positions:
O: 0.2151 0.5445 0.6788
O: 0.7586 0.6639 0.5442
O: 0.2496 0.2840 0.9258
O: 0.2448 0.3523 0.4409
O: 0.7734 0.4461 0.3197
O: 0.2680 0.5855 0.1956
O: 0.2567 0.0614 0.7017
O: 0.7291 0.9119 0.3045
O: 0.7209 0.1716 0.0583
O: 0.7383 0.4177 0.8173
O: 0.7680 0.7025 0.0636
O: 0.2285 0.0534 0.1848
O: 0.2797 0.8248 0.9452
O: 0.2319 0.7984 0.4406
O: 0.7465 0.9674 0.8183
O: 0.7904 0.2129 0.5645
Mn: 0.5007 0.1289 0.8709
Mn: 0.9997 0.9983 0.0002
Li: 0.0129 0.0063 0.5045
Li: 0.4860 0.8757 0.6250
Li: 0.9939 0.7330 0.7430
Li: 0.4995 0.6196 0.8708
Li: 0.5001 0.3759 0.6255
Li: 0.5072 0.3772 0.1284
Li: 0.9934 0.5050 0.9996
Li: 0.5037 0.1274 0.3764
Li: 0.9991 0.2527 0.2531
Co: 0.4998 0.8738 0.1253
Co: 0.0064 0.2535 0.7429
Co: 0.5002 0.6247 0.3769
Co: 0.9995 0.5023 0.4996
Co: 0.9984 0.7472 0.2539

- symmetry = P1, No. 1
- distance to the lowest polymorph of the same formula (eV/atom) = 0.048

---

No. 5
Density functional theory data (PBE+U) for a relaxed structure of Li3V3Co2O12.

abc: 9.1868 8.7955 14.9427
angles: 56.06 90.00 90.00
Fractional positions:
O: 0.1183 0.6206 0.4390
O: 0.0280 0.5313 0.7232
O: 0.2845 0.0183 0.8087
O: 0.6183 0.3794 0.0610
O: 0.6714 0.7669 0.9294
O: 0.7155 0.9817 0.1913
O: 0.6609 0.5417 0.3925
O: 0.2155 0.0183 0.3087
O: 0.3119 0.7129 0.6599
O: 0.1609 0.4583 0.1075
O: 0.5782 0.1230 0.8073
O: 0.4218 0.8770 0.1927
O: 0.8906 0.8354 0.0938
O: 0.1094 0.1646 0.9062
O: 0.5773 0.1543 0.9880
O: 0.4227 0.8457 0.0120
O: 0.3391 0.4583 0.6075
O: 0.0782 0.8770 0.6927
O: 0.6881 0.2871 0.3401
O: 0.3712 0.4897 0.4079
O: 0.9218 0.1230 0.3073
O: 0.1714 0.2331 0.5706
O: 0.0149 0.8797 0.2484
O: 0.3906 0.1646 0.4062
O: 0.9458 0.1948 0.0527
O: 0.6094 0.8354 0.5938
O: 0.6288 0.5103 0.5921
O: 0.8712 0.5103 0.0921
O: 0.8286 0.7669 0.4294
O: 0.3817 0.6206 0.9390
O: 0.4720 0.5313 0.2232
O: 0.3286 0.2331 0.0706
O: 0.5149 0.1203 0.2516
O: 0.0542 0.8052 0.9473
O: 0.7845 0.9817 0.6913
O: 0.0773 0.8457 0.5120
O: 0.9227 0.1543 0.4880
O: 0.4458 0.8052 0.4473
O: 0.1288 0.4897 0.9079
O: 0.9720 0.4687 0.2768
O: 0.8817 0.3794 0.5610
O: 0.5280 0.4687 0.7768
O: 0.8119 0.2871 0.8401
O: 0.1881 0.7129 0.1599
O: 0.9851 0.1203 0.7516
O: 0.4851 0.8797 0.7484
O: 0.5542 0.1948 0.5527
O: 0.8391 0.5417 0.8925
Co: 0.4701 0.8694 0.8848
Co: 0.5299 0.1306 0.1152
Co: 0.5215 0.3521 0.3946
Co: 0.4785 0.6479 0.6054
Co: 0.9701 0.1306 0.6152
Co: 0.9785 0.3521 0.8946
Co: 0.0215 0.6479 0.1054
Co: 0.0299 0.8694 0.3848
V: 0.3796 0.7352 0.1474
V: 0.6204 0.2648 0.8526
V: 0.3842 0.0303 0.3565
V: 0.1158 0.0303 0.8565
V: 0.8842 0.9697 0.1435
V: 0.8796 0.2648 0.3526
V: 0.2531 0.4517 0.0090
V: 0.2469 0.4517 0.5090
V: 0.7469 0.5483 0.9910
V: 0.1204 0.7352 0.6474
V: 0.6158 0.9697 0.6435
V: 0.7531 0.5483 0.4910
Li: 0.2763 0.0016 0.6793
Li: 0.0882 0.6281 0.3013
Li: 0.5060 0.2831 0.6553
Li: 0.2237 0.0016 0.1793
Li: 0.7237 0.9984 0.3207
Li: 0.7763 0.9984 0.8207
Li: 0.9940 0.2831 0.1553
Li: 0.9118 0.3719 0.6987
Li: 0.4940 0.7169 0.3447
Li: 0.5882 0.3719 0.1987
Li: 0.4118 0.6281 0.8013
Li: 0.0060 0.7169 0.8447

- symmetry = P2_1/c, No. 14

---

No. 6
Density functional theory data (PBE+U) for a relaxed structure of Li3NbCo4O8.

abc: 6.0202 6.0202 6.1241
angles: 59.54 59.54 60.95
Fractional positions:
O: 0.7414 0.2664 0.2332
O: 0.2586 0.7336 0.7668
O: 0.7336 0.2586 0.7668
O: 0.2598 0.2598 0.2403
O: 0.2500 0.2500 0.7315
O: 0.7500 0.7500 0.2685
O: 0.7402 0.7402 0.7597
O: 0.2664 0.7414 0.2332
Li: 0.5000 0.0000 0.0000
Li: 0.0000 0.0000 0.5000
Li: 0.0000 0.5000 0.0000
Co: 0.5000 0.0000 0.5000
Co: 0.0000 0.5000 0.5000
Co: 0.5000 0.5000 0.5000
Co: 0.0000 0.0000 0.0000
Nb: 0.5000 0.5000 0.0000

- symmetry = C2/m, No. 12

---

No. 7
Density functional theory data (PBE+U) for a relaxed structure of Li2FeNi3O8.

abc: 8.1025 8.1414 8.3053
angles: 89.88 89.76 89.97
Fractional positions:
O: 0.8619 0.6432 0.3736
O: 0.3717 0.3532 0.1472
O: 0.3918 0.6267 0.3948
O: 0.8648 0.8643 0.1509
O: 0.1375 0.3480 0.3697
O: 0.6200 0.9013 0.8750
O: 0.3926 0.1276 0.8995
O: 0.1452 0.1255 0.1454
O: 0.6251 0.1459 0.6521
O: 0.1069 0.6191 0.1165
O: 0.3587 0.1198 0.3549
O: 0.6393 0.6480 0.1317
O: 0.6418 0.3605 0.8747
O: 0.6142 0.3912 0.3843
O: 0.3812 0.3939 0.6042
O: 0.1038 0.3817 0.8813
O: 0.8565 0.1425 0.8735
O: 0.8908 0.6060 0.8760
O: 0.8957 0.8788 0.6045
O: 0.8629 0.3701 0.6499
O: 0.6028 0.6070 0.6255
O: 0.1423 0.6434 0.6199
O: 0.8942 0.1075 0.3809
O: 0.1272 0.8628 0.8428
O: 0.1261 0.1038 0.6023
O: 0.3876 0.8919 0.1134
O: 0.3579 0.8556 0.6287
O: 0.3535 0.6248 0.8495
O: 0.6100 0.1112 0.1091
O: 0.6487 0.8650 0.3774
O: 0.1110 0.8871 0.3887
O: 0.8767 0.3921 0.1022
Ni: 0.6270 0.8785 0.1242
Ni: 0.8739 0.6291 0.1220
Ni: 0.1287 0.1182 0.3733
Ni: 0.6246 0.1308 0.8805
Ni: 0.8721 0.3765 0.8761
Ni: 0.3767 0.3714 0.3760
Ni: 0.3718 0.6242 0.6208
Ni: 0.3770 0.1225 0.1287
Ni: 0.1274 0.8713 0.6170
Ni: 0.1204 0.6203 0.8660
Ni: 0.8781 0.8740 0.3776
Ni: 0.6202 0.3778 0.6330
Li: 0.4998 0.0006 0.5052
Li: 0.7496 0.2522 0.2442
Li: 0.9998 0.9945 0.0011
Li: 0.9991 0.4961 0.5037
Li: 0.7516 0.7490 0.7476
Li: 0.5004 0.4995 0.0029
Li: 0.2496 0.7518 0.2486
Li: 0.2507 0.2547 0.7472
Fe: 0.8752 0.1276 0.6280
Fe: 0.1226 0.3786 0.1247
Fe: 0.3764 0.8741 0.8729
Fe: 0.6270 0.6271 0.3786

- symmetry = P1, No. 1
- distance to the lowest polymorph of the same formula (eV/atom) = 0.000

---

No. 8
Density functional theory data (PBE+U) for a relaxed structure of EuZrFeBiO6.

abc: 5.7472 5.7472 5.7472
angles: 60.00 60.00 60.00
Fractional positions:
O: 0.2445 0.2445 0.7555
O: 0.7555 0.2445 0.7555
O: 0.2445 0.7555 0.7555
O: 0.7555 0.7555 0.2445
O: 0.2445 0.7555 0.2445
O: 0.7555 0.2445 0.2445
Bi: 0.2500 0.2500 0.2500
Zr: 0.5000 0.5000 0.5000
Fe: 0.0000 0.0000 0.0000
Eu: 0.7500 0.7500 0.7500

- symmetry = F-43m, No. 216
- distance to the lowest polymorph of the same formula (eV/atom) = 0.000

---

No. 9
Density functional theory data (PBE+U) for a relaxed structure of Li4Mn2Si3O10.

abc: 5.4004 5.4004 17.2088
angles: 81.46 81.46 60.82
Fractional positions:
O: 0.7804 0.4113 0.6879
O: 0.9242 0.2195 0.5478
O: 0.5710 0.6291 0.8886
O: 0.2192 0.3893 0.9352
O: 0.4290 0.3709 0.1114
O: 0.2196 0.5887 0.3121
O: 0.0758 0.7805 0.4522
O: 0.3709 0.4290 0.6114
O: 0.8399 0.9186 0.2134
O: 0.2195 0.9242 0.0478
O: 0.7805 0.0758 0.9522
O: 0.4113 0.7804 0.1879
O: 0.6291 0.5710 0.3886
O: 0.1601 0.0814 0.7866
O: 0.6107 0.7808 0.5648
O: 0.7808 0.6107 0.0648
O: 0.9186 0.8399 0.7134
O: 0.5887 0.2196 0.8121
O: 0.3893 0.2192 0.4352
O: 0.0814 0.1601 0.2866
Li: 0.5790 0.7902 0.7707
Li: 0.1690 0.3226 0.0526
Li: 0.2098 0.4210 0.7293
Li: 0.3226 0.1690 0.5526
Li: 0.7902 0.5790 0.2707
Li: 0.4210 0.2098 0.2293
Li: 0.8310 0.6774 0.9474
Li: 0.6774 0.8310 0.4474
Si: 0.8837 0.1163 0.7500
Si: 0.5358 0.3406 0.9009
Si: 0.3406 0.5358 0.4009
Si: 0.4642 0.6594 0.0991
Si: 0.6594 0.4642 0.5991
Si: 0.1163 0.8837 0.2500
Mn: 0.8025 0.9864 0.0841
Mn: 0.1975 0.0136 0.9159
Mn: 0.9864 0.8025 0.5841
Mn: 0.0136 0.1975 0.4159

- symmetry = C2/c, No. 15

---

Number 1: ΔE_f -3151 meV per atom. Number 2: ΔE_f -1896 meV per atom. Number 3: ΔE_f -2316 meV per atom. Number 4: ΔE_f -1816 meV per atom. Number 5: ΔE_f -2055 meV per atom. Number 6: ΔE_f -1944 meV per atom. Number 7: ΔE_f -1326 meV per atom. Number 8: ΔE_f -2486 meV per atom. Number 9: ΔE_f -2767 meV per atom.